Density functional theory data (PBE) for LiCuPO4 after structural relaxation.

Results
As for the energy relative to the elements: -2.1820 eV per atom. As for the total energy: -6.249 eV/atom. Its space group is Fdd2 (43). The value obtained for the spin magnetization is 2.0 Bohr magnetons per cell. The offset from the most stable computed form comes out at 0.34 kcal/mol of atoms.

Unit cell a=7.318 b=6.134 c=5.604 alpha=76.99 beta=54.76 gamma=48.26
Positions (direct):
1 O 0.118 0.735 0.923
2 O 0.026 0.327 0.515
3 O 0.401 0.264 0.530
4 O 0.515 0.132 0.026
5 O 0.986 0.849 0.446
6 O 0.530 0.804 0.401
7 O 0.446 0.720 0.986
8 O 0.923 0.224 0.118
9 P 0.117 0.883 0.117
10 P 0.367 0.133 0.367
11 Cu 0.469 0.531 0.469
12 Cu 0.719 0.781 0.719
13 Li 0.817 0.183 0.817
14 Li 0.067 0.433 0.067